No. 1
Compound: SrCa2N2
Source: the Materials Project
Functional: PBE
Structure: relaxed

abc: 3.4933 3.7741 14.4590
angles: 90.00 90.00 90.00
With the nearest neighbours (Å) after each atom.
Element x y z (fractional)
Sr (0.5364, 0.2500, 0.2500)  2 N 2.46
Sr (0.4636, 0.7500, 0.7500)  2 N 2.46
Ca (0.2362, 0.2500, 0.9317)  3 N 2.45-2.46
Ca (0.2362, 0.2500, 0.5683)  3 N 2.45-2.46
Ca (0.7638, 0.7500, 0.0683)  3 N 2.45-2.46
Ca (0.7638, 0.7500, 0.4317)  3 N 2.45-2.46
N (0.1920, 0.2500, 0.3988)  3 Ca 2.45-2.46, 1 Sr 2.46
N (0.1920, 0.2500, 0.1012)  3 Ca 2.45-2.46, 1 Sr 2.46
N (0.8080, 0.7500, 0.6012)  3 Ca 2.45-2.46, 1 Sr 2.46
N (0.8080, 0.7500, 0.8988)  3 Ca 2.45-2.46, 1 Sr 2.46

DFT formation energy in kJ/mol of formula units: -303
E in eV per atom: -4.96

***

No. 2
Compound: Mg14CuSi
Source: the Materials Project
Functional: PBE
Structure: relaxed

abc: 6.1759 6.1759 10.1879
angles: 90.00 90.00 119.48
With the nearest neighbours (Å) after each atom.
Element x y z (fractional)
Mg (0.6647, 0.3353, 0.5000)  12 Mg 3.06-3.26
Mg (0.1652, 0.8348, 0.5000)  12 Mg 3.07-3.26
Mg (0.6595, 0.8404, 0.0000)  2 Si 2.99-3.19, 2 Cu 3.02-3.16, 8 Mg 3.02-3.11
Mg (0.6675, 0.8319, 0.5000)  12 Mg 3.06-3.29
Mg (0.1596, 0.3405, 0.0000)  2 Si 2.99-3.19, 2 Cu 3.02-3.16, 8 Mg 3.02-3.11
Mg (0.1681, 0.3325, 0.5000)  12 Mg 3.06-3.29
Mg (0.8363, 0.6616, 0.2308)  1 Cu 2.94, 1 Si 2.96, 10 Mg 3.02-3.29
Mg (0.8363, 0.6616, 0.7692)  1 Cu 2.94, 1 Si 2.96, 10 Mg 3.02-3.29
Mg (0.3384, 0.1637, 0.2308)  1 Cu 2.94, 1 Si 2.96, 10 Mg 3.02-3.29
Mg (0.3384, 0.1637, 0.7692)  1 Cu 2.94, 1 Si 2.96, 10 Mg 3.02-3.29
Mg (0.8318, 0.1682, 0.2460)  11 Mg 3.04-3.16, 1 Cu 3.06
Mg (0.8318, 0.1682, 0.7540)  11 Mg 3.04-3.16, 1 Cu 3.06
Mg (0.3323, 0.6677, 0.2477)  11 Mg 3.05-3.14, 1 Si 3.06
Mg (0.3323, 0.6677, 0.7523)  11 Mg 3.05-3.14, 1 Si 3.06
Cu (0.6675, 0.3325, 0.0000)  10 Mg 2.94-3.16, 2 Si 3.11
Si (0.1702, 0.8298, 0.0000)  10 Mg 2.96-3.19, 2 Cu 3.11

DFT formation energy in kJ/mol of formula units: 54
E in eV per atom: -1.97

***

No. 3
Compound: Cs2KScI6
Source: the Materials Project
Functional: PBE
Structure: relaxed

abc: 8.9008 8.9008 8.9008
angles: 60.00 60.00 60.00
With the nearest neighbours (Å) after each atom.
Element x y z (fractional)
Cs (0.7500, 0.7500, 0.7500)  12 I 4.46
Cs (0.2500, 0.2500, 0.2500)  12 I 4.46
K (0.5000, 0.5000, 0.5000)  6 I 3.40
Sc (0.0000, 0.0000, 0.0000)  6 I 2.90
I (0.7700, 0.2300, 0.2300)  1 Sc 2.90
I (0.2300, 0.2300, 0.7700)  1 Sc 2.90
I (0.2300, 0.7700, 0.7700)  1 Sc 2.90
I (0.2300, 0.7700, 0.2300)  1 Sc 2.90
I (0.7700, 0.2300, 0.7700)  1 Sc 2.90
I (0.7700, 0.7700, 0.2300)  1 Sc 2.90

DFT formation energy in kJ/mol of formula units: -1587
E in eV per atom: -3.25

***

No. 4
Compound: LiBIr
Source: the Materials Project
Functional: PBE
Structure: relaxed

abc: 6.9955 6.1010 5.5559
angles: 73.59 56.78 49.63
With the nearest neighbours (Å) after each atom.
Element x y z (fractional)
Li (0.1250, 0.6250, 0.6250)  2 B 2.39, 2 Ir 2.59
Li (0.6250, 0.6250, 0.6250)  2 B 2.39, 2 Ir 2.59
Li (0.6250, 0.6250, 0.1250)  2 B 2.39, 2 Ir 2.59
Li (0.6250, 0.1250, 0.6250)  2 B 2.39, 2 Ir 2.59
B (0.4263, 0.0737, 0.4263)  4 Ir 2.09-2.15
B (0.1763, 0.8237, 0.1763)  4 Ir 2.09-2.15
B (0.0737, 0.4263, 0.0737)  4 Ir 2.09-2.15
B (0.8237, 0.1763, 0.8237)  4 Ir 2.09-2.15
Ir (0.3831, 0.3831, 0.1169)  4 B 2.09-2.15
Ir (0.8669, 0.8669, 0.1331)  4 B 2.09-2.15
Ir (0.1331, 0.1331, 0.8669)  4 B 2.09-2.15
Ir (0.1169, 0.1169, 0.3831)  4 B 2.09-2.15

DFT formation energy in kJ/mol of formula units: -149
E in eV per atom: -6.32